Version a
DFT (PBE with a Hubbard U) results for an optimized crystal structure of LiCo2P3O12.

magnetic moment: 32.00 μB per cell
SG: P2_1

Cell: 8.7669 8.7016 12.0293 Å, 89.71 90.00 90.00°
With the nearest neighbours (Å) after each atom.
Atoms (fractional coordinates):
O: 0.6507 0.8075 0.8268  1 P 1.54
O: 0.7748 0.0919 0.5695  1 P 1.54
O: 0.3638 0.3777 0.1821  1 P 1.54
O: 0.0003 0.5713 0.0224  1 P 1.55
O: 0.2742 0.3929 0.5732  1 P 1.55
O: 0.8379 0.0955 0.1779  1 P 1.55
O: 0.0642 0.4142 0.7213  1 P 1.52
O: 0.4906 0.0747 0.5241  1 P 1.55
O: 0.8515 0.3087 0.3258  1 P 1.52
O: 0.9023 0.3240 0.9026  1 P 1.55
O: 0.5003 0.4287 0.9776  1 P 1.55
O: 0.0971 0.1818 0.5914  1 P 1.57
O: 0.5185 0.9199 0.0204  1 P 1.56
O: 0.5642 0.5858 0.2787  1 P 1.52
O: 0.0980 0.6799 0.4068  1 P 1.54
O: 0.8297 0.8142 0.6581  1 P 1.54
O: 0.5971 0.8182 0.4086  1 P 1.57
O: 0.3379 0.9045 0.8221  1 P 1.55
O: 0.9269 0.5925 0.2232  1 P 1.53
O: 0.6332 0.1239 0.3191  1 P 1.55
O: 0.5782 0.0905 0.7229  1 P 1.55
O: 0.0782 0.9095 0.2771  1 P 1.55
O: 0.9929 0.4299 0.5195  1 P 1.55
O: 0.9906 0.9253 0.4759  1 P 1.55
O: 0.3297 0.1858 0.3419  1 P 1.54
O: 0.6474 0.5987 0.6841  1 P 1.54
O: 0.5980 0.3201 0.5932  1 P 1.54
O: 0.9050 0.8225 0.0930  1 P 1.55
O: 0.4269 0.4075 0.7768  1 P 1.53
O: 0.4929 0.5701 0.4805  1 P 1.55
O: 0.3515 0.6913 0.6742  1 P 1.52
O: 0.6625 0.3201 0.1656  1 P 1.55
O: 0.2748 0.9081 0.4305  1 P 1.54
O: 0.4050 0.1775 0.9070  1 P 1.55
O: 0.7742 0.6071 0.4268  1 P 1.55
O: 0.1507 0.1925 0.1732  1 P 1.54
O: 0.9362 0.0906 0.7808  1 P 1.54
O: 0.7206 0.6070 0.0763  1 P 1.55
O: 0.0185 0.0801 0.9796  1 P 1.56
O: 0.1332 0.8761 0.6809  1 P 1.55
O: 0.2365 0.9108 0.0669  1 P 1.54
O: 0.7365 0.0892 0.9331  1 P 1.54
O: 0.2206 0.3930 0.9237  1 P 1.55
O: 0.8638 0.6223 0.8179  1 P 1.54
O: 0.4023 0.6760 0.0974  1 P 1.55
O: 0.1474 0.4013 0.3159  1 P 1.54
O: 0.4362 0.9094 0.2192  1 P 1.54
O: 0.1625 0.6799 0.8344  1 P 1.55
P: 0.3879 0.3541 0.8949  4 O 1.53-1.55
P: 0.8961 0.1465 0.8988  4 O 1.54-1.56
P: 0.1056 0.3607 0.6052  4 O 1.52-1.57
P: 0.1129 0.8557 0.3976  4 O 1.54-1.55
P: 0.2502 0.7848 0.7515  4 O 1.52-1.55
P: 0.3961 0.8535 0.1012  4 O 1.54-1.56
P: 0.7498 0.7136 0.7460  4 O 1.54
P: 0.6056 0.6393 0.3948  4 O 1.52-1.57
P: 0.2498 0.2864 0.2540  4 O 1.54
P: 0.8879 0.6459 0.1051  4 O 1.53-1.55
P: 0.6129 0.1443 0.6024  4 O 1.54-1.55
P: 0.7502 0.2152 0.2485  4 O 1.52-1.55
Co: 0.4649 0.9911 0.3634  6 O 1.90-2.08
Co: 0.0449 0.0003 0.1391  6 O 1.86-2.05
Co: 0.9610 0.5018 0.3691  6 O 1.93-2.01
Co: 0.5449 0.9997 0.8609  6 O 1.86-2.05
Co: 0.9649 0.0089 0.6366  6 O 1.90-2.08
Co: 0.4610 0.4982 0.6309  6 O 1.93-2.01
Co: 0.0378 0.4984 0.8728  6 O 1.94-1.98
Co: 0.5378 0.5016 0.1272  6 O 1.94-1.98
Li: 0.7278 0.9619 0.0686  4 O 1.96-2.01
Li: 0.7893 0.8344 0.4961  4 O 1.95-2.15
Li: 0.2278 0.0381 0.9314  4 O 1.96-2.01
Li: 0.2893 0.1656 0.5039  4 O 1.95-2.15

Version b
DFT (PBE with a Hubbard U) results for an optimized crystal structure of LiCo2P3O12.

magnetic moment: 40.14 μB per cell
SG: P2_1/c

Cell: 8.6756 8.5891 12.0991 Å, 89.43 90.00 90.00°
With the nearest neighbours (Å) after each atom.
Atoms (fractional coordinates):
O: 0.5511 0.6825 0.4636  1 P 1.53
O: 0.5763 0.1497 0.0261  1 P 1.55
O: 0.1353 0.3917 0.0766  1 P 1.54
O: 0.0134 0.1554 0.7647  1 P 1.55
O: 0.9237 0.6497 0.5261  1 P 1.55
O: 0.4489 0.3175 0.5364  1 P 1.53
O: 0.7659 0.6735 0.3202  1 P 1.55
O: 0.0136 0.3004 0.2757  1 P 1.53
O: 0.8279 0.1689 0.5701  1 P 1.55
O: 0.1135 0.0692 0.1333  1 P 1.55
O: 0.1307 0.0561 0.5629  1 P 1.54
O: 0.6307 0.4439 0.9371  1 P 1.54
O: 0.4114 0.0718 0.8344  1 P 1.54
O: 0.3693 0.5561 0.0629  1 P 1.54
O: 0.2659 0.8265 0.1798  1 P 1.55
O: 0.2909 0.3691 0.3333  1 P 1.55
O: 0.0886 0.5718 0.3344  1 P 1.54
O: 0.7091 0.6309 0.6667  1 P 1.55
O: 0.5886 0.9282 0.1656  1 P 1.54
O: 0.9489 0.1825 0.9636  1 P 1.53
O: 0.3279 0.3311 0.9299  1 P 1.55
O: 0.7341 0.1735 0.8202  1 P 1.55
O: 0.3290 0.0718 0.4088  1 P 1.53
O: 0.4866 0.6554 0.2647  1 P 1.55
O: 0.1710 0.5718 0.9088  1 P 1.53
O: 0.6135 0.4308 0.3667  1 P 1.55
O: 0.7909 0.1309 0.1667  1 P 1.55
O: 0.6721 0.6689 0.0701  1 P 1.55
O: 0.0511 0.8175 0.0364  1 P 1.53
O: 0.4864 0.8004 0.7757  1 P 1.53
O: 0.8865 0.9308 0.8667  1 P 1.55
O: 0.6710 0.9282 0.5912  1 P 1.53
O: 0.3647 0.8917 0.5766  1 P 1.54
O: 0.3865 0.5692 0.6333  1 P 1.55
O: 0.8290 0.4282 0.0912  1 P 1.53
O: 0.8647 0.6083 0.9234  1 P 1.54
O: 0.1721 0.8311 0.4299  1 P 1.55
O: 0.6353 0.1083 0.4234  1 P 1.54
O: 0.4237 0.8503 0.9739  1 P 1.55
O: 0.5136 0.1996 0.2243  1 P 1.53
O: 0.2091 0.8691 0.8333  1 P 1.55
O: 0.9864 0.6996 0.7243  1 P 1.53
O: 0.9114 0.4282 0.6656  1 P 1.54
O: 0.8693 0.9439 0.4371  1 P 1.54
O: 0.2341 0.3265 0.6798  1 P 1.55
O: 0.9866 0.8446 0.2353  1 P 1.55
O: 0.5134 0.3446 0.7353  1 P 1.55
O: 0.0763 0.3503 0.4739  1 P 1.55
Co: 0.5400 0.2526 0.8913  6 O 1.87-2.05
Co: 0.9730 0.2502 0.1204  6 O 1.93-2.00
Co: 0.9600 0.7526 0.3913  6 O 1.87-2.05
Co: 0.4730 0.2498 0.3796  6 O 1.93-2.00
Co: 0.0270 0.7498 0.8796  6 O 1.93-2.00
Co: 0.4600 0.7474 0.1087  6 O 1.87-2.05
Co: 0.5270 0.7502 0.6204  6 O 1.93-2.00
Co: 0.0400 0.2474 0.6087  6 O 1.87-2.05
P: 0.7496 0.5347 0.0061  4 O 1.53-1.55
P: 0.2496 0.9653 0.4939  4 O 1.53-1.55
P: 0.2504 0.4653 0.9939  4 O 1.53-1.55
P: 0.3835 0.8959 0.8528  4 O 1.53-1.55
P: 0.3942 0.3898 0.6450  4 O 1.53-1.55
P: 0.6165 0.1041 0.1472  4 O 1.53-1.55
P: 0.8942 0.1102 0.8550  4 O 1.53-1.55
P: 0.8835 0.6041 0.6472  4 O 1.53-1.55
P: 0.7504 0.0347 0.5061  4 O 1.53-1.55
P: 0.1165 0.3959 0.3528  4 O 1.53-1.55
P: 0.6058 0.6102 0.3550  4 O 1.53-1.55
P: 0.1058 0.8898 0.1450  4 O 1.53-1.55
Li: 0.7782 0.7978 0.1823  4 O 1.96-2.00
Li: 0.7218 0.2978 0.6823  4 O 1.96-2.00
Li: 0.2782 0.7022 0.3177  4 O 1.96-2.00
Li: 0.2218 0.2022 0.8177  4 O 1.96-2.00

version b ends up most stable, edging out the next structure by 0.011 eV/atom.

Version a
DFT (PBE with a Hubbard U) results for an optimized crystal structure of Na4MgCo2O6.

magnetic moment: 8.00 μB per cell
SG: C2/m

Cell: 6.4551 6.4551 5.9146 Å, 84.21 95.79 123.63°
With the nearest neighbours (Å) after each atom.
Atoms (fractional coordinates):
Na: 0.2299 0.7701 0.2710  3 O 2.31-2.34
Na: 0.7701 0.2299 0.7290  3 O 2.31-2.34
Na: 0.0000 0.0000 0.5000  4 O 2.27
Na: 0.0000 0.0000 0.0000  2 O 2.35
O: 0.3707 0.1815 0.3375  1 Co 1.81
O: 0.8102 0.1898 0.1210  1 Co 1.72
O: 0.1815 0.3707 0.6625  1 Co 1.81
O: 0.8185 0.6293 0.3375  1 Co 1.81
O: 0.1898 0.8102 0.8790  1 Co 1.72
O: 0.6293 0.8185 0.6625  1 Co 1.81
Co: 0.3252 0.6748 0.7746  3 O 1.72-1.81
Co: 0.6748 0.3252 0.2254  3 O 1.72-1.81
Mg: 0.5000 0.5000 0.5000  4 O 2.05

Version b
DFT (PBE with a Hubbard U) results for an optimized crystal structure of Na4MgCo2O6.

magnetic moment: 8.00 μB per cell
SG: P1

Cell: 6.3224 5.9951 6.1095 Å, 92.03 115.63 58.12°
With the nearest neighbours (Å) after each atom.
Atoms (fractional coordinates):
O: 0.0491 0.4377 0.7669  1 Co 1.81, 1 Mg 2.02
O: 0.8927 0.6005 0.1637  1 Co 1.79
O: 0.6006 0.1068 0.7209  1 Co 1.84, 1 Mg 2.04
O: 0.4306 0.8199 0.3497  1 Co 1.81
O: 0.3626 0.7074 0.7896  2 Co 2.01-2.05, 1 Mg 2.17
O: 0.6623 0.2824 0.2075  2 Co 1.92-1.95
Co: 0.5903 0.6407 0.1615  3 O 1.79-1.95
Co: 0.4012 0.3533 0.8611  3 O 1.81-1.92
Na: 0.8512 0.8804 0.4639  4 O 2.30-2.56
Na: 0.1231 0.1645 0.4765  5 O 2.34-2.56
Na: 0.0120 0.1178 0.9615  3 O 2.39-2.45
Na: 0.3479 0.4745 0.3646  4 O 2.25-2.40
Mg: 0.6889 0.7265 0.7721  4 O 2.02-2.17

version b ends up most stable, edging out the next structure by 0.142 eV/atom.

Version a
DFT (PBE with a Hubbard U) results for an optimized crystal structure of Mn3CuO8.

magnetic moment: 8.00 μB per cell
SG: R-3m

Cell: 5.8542 5.8542 5.8542 Å, 59.74 59.74 59.74°
With the nearest neighbours (Å) after each atom.
Atoms (fractional coordinates):
O: 0.7054 0.2625 0.2625  2 Mn 1.94, 1 Cu 1.97
O: 0.2650 0.2650 0.2650  3 Mn 1.95
O: 0.2625 0.2625 0.7054  2 Mn 1.94, 1 Cu 1.97
O: 0.2625 0.7054 0.2625  2 Mn 1.94, 1 Cu 1.97
O: 0.7375 0.2946 0.7375  2 Mn 1.94, 1 Cu 1.97
O: 0.7350 0.7350 0.7350  3 Mn 1.95
O: 0.2946 0.7375 0.7375  2 Mn 1.94, 1 Cu 1.97
O: 0.7375 0.7375 0.2946  2 Mn 1.94, 1 Cu 1.97
Mn: 0.0000 0.5000 0.5000  6 O 1.94-1.95
Mn: 0.5000 0.0000 0.5000  6 O 1.94-1.95
Mn: 0.5000 0.5000 0.0000  6 O 1.94-1.95
Cu: 0.5000 0.5000 0.5000  6 O 1.97

Version b
DFT (PBE with a Hubbard U) results for an optimized crystal structure of Mn3CuO8.

magnetic moment: 8.00 μB per cell
SG: R-3m

Cell: 5.8386 5.8386 5.8386 Å, 60.25 60.25 60.25°
With the nearest neighbours (Å) after each atom.
Atoms (fractional coordinates):
O: 0.2656 0.2656 0.2656  3 Mn 1.95
O: 0.7635 0.7635 0.2703  2 Mn 1.94, 1 Cu 1.97
O: 0.2365 0.7297 0.2365  2 Mn 1.94, 1 Cu 1.97
O: 0.7635 0.2703 0.7635  2 Mn 1.94, 1 Cu 1.97
O: 0.2703 0.7635 0.7635  2 Mn 1.94, 1 Cu 1.97
O: 0.7344 0.7344 0.7344  3 Mn 1.95
O: 0.2365 0.2365 0.7297  2 Mn 1.94, 1 Cu 1.97
O: 0.7297 0.2365 0.2365  2 Mn 1.94, 1 Cu 1.97
Mn: 0.5000 0.0000 0.5000  6 O 1.94-1.95
Mn: 0.5000 0.5000 0.0000  6 O 1.94-1.95
Mn: 0.0000 0.5000 0.5000  6 O 1.94-1.95
Cu: 0.0000 0.0000 0.0000  6 O 1.97

version b ends up most stable, edging out the next structure by 0.011 eV/atom.

Version a
DFT (PBE with a Hubbard U) results for an optimized crystal structure of BaPrMgMn2O6.

magnetic moment: 9.00 μB per cell
SG: P4mm

Cell: 3.9204 3.9204 11.2392 Å, 90.00 90.00 90.00°
With the nearest neighbours (Å) after each atom.
Atoms (fractional coordinates):
O: 0.0000 0.5000 0.7176  2 Mg 2.01, 2 Mn 2.05
O: 0.5000 0.0000 0.2563  2 Mn 1.97
O: 0.5000 0.5000 0.0701  1 Mn 2.24
O: 0.5000 0.5000 0.4748  2 Mn 2.11-2.31
O: 0.0000 0.5000 0.2563  2 Mn 1.97
O: 0.5000 0.0000 0.7176  2 Mg 2.01, 2 Mn 2.05
Pr: 0.0000 0.0000 0.1165  4 O 2.51
Mn: 0.5000 0.5000 0.2693  4 O 1.97
Mn: 0.5000 0.5000 0.6629  5 O 2.05-2.11
Mg: 0.0000 0.0000 0.7562  4 O 2.01
Ba: 0.0000 0.0000 0.4524  8 O 2.78-2.95

Version b
DFT (PBE with a Hubbard U) results for an optimized crystal structure of BaPrMgMn2O6.

magnetic moment: 9.00 μB per cell
SG: Pmmm

Cell: 5.4545 3.8435 8.0082 Å, 90.00 90.00 90.00°
With the nearest neighbours (Å) after each atom.
Atoms (fractional coordinates):
O: 0.0000 0.5000 0.2118  2 Pr 2.56, 2 Mn 2.73
O: 0.5000 0.5000 0.0000  2 Mn 1.85
O: 0.5000 0.0000 0.7363  1 Mg 1.89, 2 Mn 1.94
O: 0.0000 0.5000 0.7882  2 Pr 2.56, 2 Mn 2.73
O: 0.5000 0.5000 0.5000  2 Mg 1.92
O: 0.5000 0.0000 0.2637  1 Mg 1.89, 2 Mn 1.94
Mn: 0.5000 0.5000 0.2311  3 O 1.85-1.94
Mn: 0.5000 0.5000 0.7689  3 O 1.85-1.94
Mg: 0.5000 0.0000 0.5000  4 O 1.89-1.92
Ba: 0.0000 0.0000 0.5000  2 Mg 2.73, 4 O 3.00
Pr: 0.0000 0.0000 0.0000  4 O 2.56

version a ends up most stable, edging out the next structure by 0.291 eV/atom.

Version a
DFT (PBE with a Hubbard U) results for an optimized crystal structure of Li3FeP2O8.

magnetic moment: 20.00 μB per cell
SG: P2_1

Cell: 10.4001 8.2426 8.3304 Å, 74.74 90.00 90.00°
With the nearest neighbours (Å) after each atom.
Atoms (fractional coordinates):
P: 0.0987 0.2344 0.2893  4 O 1.51-1.61
P: 0.5875 0.2798 0.2168  4 O 1.52-1.59
P: 0.0875 0.7202 0.7832  4 O 1.52-1.59
P: 0.4087 0.7057 0.2822  4 O 1.52-1.60
P: 0.9075 0.7635 0.2056  4 O 1.51-1.59
P: 0.4075 0.2365 0.7944  4 O 1.51-1.59
P: 0.5987 0.7656 0.7107  4 O 1.51-1.61
P: 0.9087 0.2943 0.7178  4 O 1.52-1.60
Li: 0.3368 0.6072 0.6516  4 O 1.90-2.04
Li: 0.6465 0.1712 0.5913  4 O 1.93-2.13
Li: 0.6669 0.3996 0.8381  4 O 1.98-2.04
Li: 0.4225 0.5462 0.9664  4 O 1.95-2.10
Li: 0.9225 0.4538 0.0336  4 O 1.95-2.10
Li: 0.8368 0.3928 0.3484  4 O 1.90-2.04
Li: 0.1575 0.3543 0.9043  4 O 2.00-2.10
Li: 0.3477 0.3576 0.4147  4 O 1.93-2.06
Li: 0.8477 0.6424 0.5853  4 O 1.93-2.06
Li: 0.6575 0.6457 0.0957  4 O 2.00-2.10
Li: 0.1669 0.6004 0.1619  4 O 1.98-2.04
Li: 0.1465 0.8288 0.4087  4 O 1.93-2.13
Fe: 0.8387 0.9092 0.8395  4 O 1.85-1.94
Fe: 0.6606 0.9036 0.3401  4 O 1.88-1.92
Fe: 0.3387 0.0908 0.1605  4 O 1.85-1.94
Fe: 0.1606 0.0964 0.6599  4 O 1.88-1.92
O: 0.5962 0.4271 0.0578  1 P 1.55
O: 0.6694 0.8174 0.8605  1 P 1.60
O: 0.3284 0.1932 0.6477  1 P 1.59
O: 0.1122 0.0717 0.4447  1 P 1.61
O: 0.9599 0.2746 0.2403  1 P 1.51
O: 0.5549 0.7601 0.2471  1 P 1.59
O: 0.3426 0.3893 0.8366  1 P 1.55
O: 0.6540 0.3181 0.3655  1 P 1.52
O: 0.4599 0.7254 0.7597  1 P 1.51
O: 0.3899 0.0812 0.9499  1 P 1.57
O: 0.8332 0.1317 0.6986  1 P 1.60
O: 0.3565 0.6482 0.1354  1 P 1.52
O: 0.1743 0.3767 0.3299  1 P 1.52
O: 0.1540 0.6819 0.6345  1 P 1.52
O: 0.6444 0.1144 0.1841  1 P 1.57
O: 0.8954 0.4270 0.5531  1 P 1.52
O: 0.1444 0.8856 0.8159  1 P 1.57
O: 0.1694 0.1826 0.1395  1 P 1.60
O: 0.4394 0.2395 0.2573  1 P 1.59
O: 0.6743 0.6233 0.6701  1 P 1.52
O: 0.0477 0.7394 0.2552  1 P 1.51
O: 0.6122 0.9283 0.5553  1 P 1.61
O: 0.8426 0.6107 0.1634  1 P 1.55
O: 0.8284 0.8068 0.3523  1 P 1.59
O: 0.8565 0.3518 0.8646  1 P 1.52
O: 0.0962 0.5729 0.9422  1 P 1.55
O: 0.9394 0.7605 0.7427  1 P 1.59
O: 0.0549 0.2399 0.7529  1 P 1.59
O: 0.8899 0.9188 0.0501  1 P 1.57
O: 0.5477 0.2606 0.7448  1 P 1.51
O: 0.3954 0.5730 0.4469  1 P 1.52
O: 0.3332 0.8683 0.3014  1 P 1.60

Version b
DFT (PBE with a Hubbard U) results for an optimized crystal structure of Li3FeP2O8.

magnetic moment: 0.00 μB per cell
SG: P2_1/m

Cell: 4.7361 10.2349 5.9383 Å, 90.00 90.00 90.48°
With the nearest neighbours (Å) after each atom.
Atoms (fractional coordinates):
O: 0.7973 0.5477 0.7500  1 P 1.58
O: 0.2001 0.6626 0.0388  1 P 1.57
O: 0.2027 0.4523 0.2500  1 P 1.58
O: 0.7393 0.1124 0.2500  1 P 1.55
O: 0.2532 0.4112 0.7500  1 P 1.52
O: 0.7999 0.3374 0.5388  1 P 1.57
O: 0.7468 0.5888 0.2500  1 P 1.52
O: 0.6930 0.0417 0.7500  1 P 1.53
O: 0.3071 0.9583 0.2500  1 P 1.53
O: 0.7298 0.8263 0.9533  1 P 1.58
O: 0.2702 0.1737 0.0467  1 P 1.58
O: 0.7298 0.8263 0.5467  1 P 1.58
O: 0.2702 0.1737 0.4533  1 P 1.58
O: 0.2001 0.6626 0.4612  1 P 1.57
O: 0.7999 0.3374 0.9612  1 P 1.57
O: 0.2607 0.8876 0.7500  1 P 1.55
Li: 0.4786 0.2201 0.7500  6 O 2.07-2.30
Li: 0.5000 0.5000 0.5000  6 O 2.09-2.21
Li: 0.0000 0.0000 0.5000  6 O 2.12-2.25
Li: 0.5000 0.5000 0.0000  6 O 2.09-2.21
Li: 0.0000 0.0000 0.0000  6 O 2.12-2.25
Li: 0.5214 0.7799 0.2500  6 O 2.07-2.30
P: 0.4124 0.1002 0.2500  4 O 1.53-1.58
P: 0.9327 0.4068 0.7500  4 O 1.52-1.58
P: 0.5876 0.8998 0.7500  4 O 1.53-1.58
P: 0.0672 0.5932 0.2500  4 O 1.52-1.58
Fe: 0.0081 0.7199 0.7500  6 O 2.02-2.10
Fe: 0.9919 0.2801 0.2500  6 O 2.02-2.10

version b ends up most stable, edging out the next structure by 0.013 eV/atom.